Record 1
# KCeS2O8, optimized geometry, DFT GGA-PBE
# Total magnetic moment, μB per formula unit: 1.00
# Formation enthalpy at 0 K, eV per atom: -2.52
data_KCeS2O8
_cell_length_a 5.522
_cell_length_b 7.137
_cell_length_c 8.625
_cell_angle_alpha 85.69
_cell_angle_beta 88.79
_cell_angle_gamma 88.19
_space_group_name_H-M_alt 'P -1'
_space_group_IT_number 2
loop_
_space_group_symop_operation_xyz
'x,y,z'
'-x,-y,-z'
loop_
_atom_site_label
_atom_site_type_symbol
_atom_site_fract_x
_atom_site_fract_y
_atom_site_fract_z
K1 K 0.247 0.154 0.313
Ce1 Ce 0.186 0.318 0.796
S1 S 0.258 0.674 0.430
S2 S 0.278 0.800 0.953
O1 O 0.038 0.805 0.421
O2 O 0.127 0.641 0.912
O3 O 0.163 0.874 0.095
O4 O 0.226 0.542 0.306
O5 O 0.269 0.577 0.587
O6 O 0.287 0.948 0.824
O7 O 0.469 0.272 0.014
O8 O 0.480 0.784 0.397

Record 2
# K2MnN2, optimized geometry, DFT GGA-PBE
# Total magnetic moment, μB per formula unit: 0.00
# Formation enthalpy at 0 K, eV per atom: -0.36
data_K2MnN2
_cell_length_a 6.056
_cell_length_b 5.504
_cell_length_c 12.201
_cell_angle_alpha 90.00
_cell_angle_beta 90.00
_cell_angle_gamma 90.00
_space_group_name_H-M_alt 'P n m a'
_space_group_IT_number 62
loop_
_space_group_symop_operation_xyz
'x,y,z'
'-x,-y,-z'
'-x+1/2,-y,z+1/2'
'x+1/2,y,-z+1/2'
'x+1/2,-y+1/2,-z+1/2'
'-x+1/2,y+1/2,z+1/2'
'-x,y+1/2,-z'
'x,-y+1/2,z'
loop_
_atom_site_label
_atom_site_type_symbol
_atom_site_fract_x
_atom_site_fract_y
_atom_site_fract_z
K1 K 0.110 0.250 0.176
K2 K 0.212 0.250 0.533
Mn1 Mn 0.232 0.250 0.822
N1 N 0.016 0.750 0.251
N2 N 0.229 0.250 0.955

Record 3
# Cs2TlGaCl6, optimized geometry, DFT GGA-PBE
# Total magnetic moment, μB per formula unit: 0.00
# Formation enthalpy at 0 K, eV per atom: -1.83
data_Cs2TlGaCl6
_cell_length_a 10.965
_cell_length_b 10.965
_cell_length_c 10.965
_cell_angle_alpha 90.00
_cell_angle_beta 90.00
_cell_angle_gamma 90.00
_space_group_name_H-M_alt 'F m -3 m'
_space_group_IT_number 225
_space_group_name_Hall '-F 4 2 3'
loop_
_atom_site_label
_atom_site_type_symbol
_atom_site_fract_x
_atom_site_fract_y
_atom_site_fract_z
Cs1 Cs 0.250 0.250 0.250
Tl1 Tl 0.000 0.000 0.000
Ga1 Ga 0.000 0.000 0.500
Cl1 Cl 0.000 0.000 0.280

Record 4
# Tl2Co3NiSe4, optimized geometry, DFT GGA-PBE
# Total magnetic moment, μB per formula unit: 4.37
# Formation enthalpy at 0 K, eV per atom: -0.42
data_Tl2Co3NiSe4
_cell_length_a 3.846
_cell_length_b 3.846
_cell_length_c 13.814
_cell_angle_alpha 90.00
_cell_angle_beta 90.00
_cell_angle_gamma 90.00
_space_group_name_H-M_alt 'P -4 m 2'
_space_group_IT_number 115
loop_
_space_group_symop_operation_xyz
'x,y,z'
'y,-x,-z'
'-x,-y,z'
'-y,x,-z'
'-x,y,z'
'-y,-x,-z'
'x,-y,z'
'y,x,-z'
loop_
_atom_site_label
_atom_site_type_symbol
_atom_site_fract_x
_atom_site_fract_y
_atom_site_fract_z
Tl1 Tl 0.000 0.500 0.250
Co1 Co 0.000 0.000 0.000
Co2 Co 0.000 0.000 0.500
Co3 Co 0.500 0.500 0.500
Ni1 Ni 0.500 0.500 0.000
Se1 Se 0.000 0.500 0.595
Se2 Se 0.000 0.500 0.898

Record 5
# MgZn7O8, optimized geometry, DFT GGA-PBE
# Formation enthalpy at 0 K, eV per atom: -1.94
data_MgZn7O8
_cell_length_a 6.5871
_cell_length_b 6.5871
_cell_length_c 5.2870
_cell_angle_alpha 90.00
_cell_angle_beta 90.00
_cell_angle_gamma 120.00
_space_group_name_H-M_alt 'P 3 m 1'
_space_group_IT_number 156
loop_
_space_group_symop_operation_xyz
'x,y,z'
'-y,x-y,z'
'-x+y,-x,z'
'-y,-x,z'
'-x+y,y,z'
'x,x-y,z'
loop_
_atom_site_label
_atom_site_type_symbol
_atom_site_fract_x
_atom_site_fract_y
_atom_site_fract_z
Mg1 Mg 0.0000 0.0000 0.0000
Zn1 Zn 0.0019 0.5009 0.0019
Zn2 Zn 0.1663 0.3327 0.5028
Zn3 Zn 0.6667 0.3333 0.5038
O1 O 0.0000 0.0000 0.3777
O2 O 0.9999 0.5000 0.3832
O3 O 0.1657 0.3314 0.8830
O4 O 0.6667 0.3333 0.8844

Record 6
# Ba4GeN4, optimized geometry, DFT GGA-PBE
# Total magnetic moment, μB per formula unit: 0.00
# Formation enthalpy at 0 K, eV per atom: -0.59
# E above lowest polymorph, meV per atom: 0
data_Ba4GeN4
_cell_length_a 7.039
_cell_length_b 7.053
_cell_length_c 9.217
_cell_angle_alpha 83.36
_cell_angle_beta 74.00
_cell_angle_gamma 63.07
_space_group_name_H-M_alt 'P -1'
_space_group_IT_number 2
loop_
_space_group_symop_operation_xyz
'x,y,z'
'-x,-y,-z'
loop_
_atom_site_label
_atom_site_type_symbol
_atom_site_fract_x
_atom_site_fract_y
_atom_site_fract_z
Ba1 Ba 0.026 0.227 0.056
Ba2 Ba 0.112 0.328 0.634
Ba3 Ba 0.268 0.793 0.544
Ba4 Ba 0.425 0.733 0.129
Ge1 Ge 0.364 0.265 0.246
N1 N 0.151 0.159 0.348
N2 N 0.229 0.462 0.091
N3 N 0.340 0.947 0.837
N4 N 0.342 0.470 0.383

Record 7
# SbHCSO3F8, optimized geometry, DFT GGA-PBE
# Total magnetic moment, μB per formula unit: 0.00
# Formation enthalpy at 0 K, eV per atom: -2.04
data_SbHCSO3F8
_cell_length_a 8.844
_cell_length_b 9.709
_cell_length_c 10.828
_cell_angle_alpha 90.00
_cell_angle_beta 109.21
_cell_angle_gamma 90.00
_space_group_name_H-M_alt 'P 1 21/c 1'
_space_group_IT_number 14
loop_
_space_group_symop_operation_xyz
'x,y,z'
'-x,-y,-z'
'-x,y+1/2,-z+1/2'
'x,-y+1/2,z+1/2'
loop_
_atom_site_label
_atom_site_type_symbol
_atom_site_fract_x
_atom_site_fract_y
_atom_site_fract_z
Sb1 Sb 0.241 0.172 0.080
H1 H 0.066 0.003 0.286
C1 C 0.298 0.663 0.014
S1 S 0.092 0.690 0.889
O1 O 0.000 0.247 0.531
O2 O 0.029 0.541 0.855
O3 O 0.103 0.733 0.280
F1 F 0.149 0.048 0.940
F2 F 0.184 0.043 0.194
F3 F 0.264 0.192 0.462
F4 F 0.290 0.568 0.102
F5 F 0.297 0.198 0.719
F6 F 0.352 0.718 0.574
F7 F 0.391 0.619 0.946
F8 F 0.451 0.100 0.122

Record 8
# ScP3O9, optimized geometry, DFT GGA-PBE
# Total magnetic moment, μB per formula unit: 0.00
# Formation enthalpy at 0 K, eV per atom: -2.96
# E above lowest polymorph, meV per atom: 10
data_ScP3O9
_cell_length_a 13.761
_cell_length_b 19.819
_cell_length_c 9.844
_cell_angle_alpha 90.00
_cell_angle_beta 127.13
_cell_angle_gamma 90.00
_space_group_name_H-M_alt 'C 1 c 1'
_space_group_IT_number 9
loop_
_space_group_symop_operation_xyz
'x,y,z'
'x,-y,z+1/2'
'x+1/2,y+1/2,z'
'x+1/2,-y+1/2,z+1/2'
loop_
_atom_site_label
_atom_site_type_symbol
_atom_site_fract_x
_atom_site_fract_y
_atom_site_fract_z
Sc1 Sc 0.000 0.078 0.000
Sc2 Sc 0.017 0.244 0.535
Sc3 Sc 0.498 0.089 0.500
P1 P 0.144 0.031 0.832
P2 P 0.151 0.300 0.351
P3 P 0.157 0.363 0.850
P4 P 0.237 0.476 0.726
P5 P 0.246 0.190 0.244
P6 P 0.274 0.142 0.794
P7 P 0.352 0.028 0.664
P8 P 0.363 0.304 0.192
P9 P 0.363 0.364 0.680
O1 O 0.041 0.058 0.830
O2 O 0.055 0.368 0.865
O3 O 0.059 0.288 0.383
O4 O 0.109 0.001 0.170
O5 O 0.123 0.354 0.225
O6 O 0.137 0.481 0.085
O7 O 0.144 0.312 0.728
O8 O 0.156 0.171 0.645
O9 O 0.159 0.138 0.119
O10 O 0.172 0.230 0.296
O11 O 0.181 0.436 0.806
O12 O 0.218 0.021 0.485
O13 O 0.247 0.088 0.891
O14 O 0.260 0.419 0.632
O15 O 0.269 0.243 0.142
O16 O 0.283 0.310 0.530
O17 O 0.283 0.354 0.035
O18 O 0.336 0.099 0.728
O19 O 0.354 0.491 0.365
O20 O 0.366 0.166 0.402
O21 O 0.370 0.188 0.928
O22 O 0.376 0.027 0.284
O23 O 0.395 0.338 0.350
O24 O 0.410 0.330 0.846
O25 O 0.443 0.040 0.630
O26 O 0.454 0.395 0.662
O27 O 0.467 0.281 0.193

Record 9
# PmGaRh2, optimized geometry, DFT GGA-PBE
# Total magnetic moment, μB per formula unit: 0.00
# Formation enthalpy at 0 K, eV per atom: -0.67
data_PmGaRh2
_cell_length_a 6.584
_cell_length_b 6.584
_cell_length_c 6.584
_cell_angle_alpha 90.00
_cell_angle_beta 90.00
_cell_angle_gamma 90.00
_space_group_name_H-M_alt 'F m -3 m'
_space_group_IT_number 225
_space_group_name_Hall '-F 4 2 3'
loop_
_atom_site_label
_atom_site_type_symbol
_atom_site_fract_x
_atom_site_fract_y
_atom_site_fract_z
Pm1 Pm 0.000 0.000 0.000
Ga1 Ga 0.000 0.000 0.500
Rh1 Rh 0.250 0.250 0.250

Record 10
# Tb2Si3Pt3, optimized geometry, DFT GGA-PBE
# Total magnetic moment, μB per formula unit: 0.00
# Formation enthalpy at 0 K, eV per atom: 0.38
data_Tb2Si3Pt3
_cell_length_a 2.793
_cell_length_b 2.793
_cell_length_c 20.721
_cell_angle_alpha 90.00
_cell_angle_beta 90.00
_cell_angle_gamma 90.00
_space_group_name_H-M_alt 'P 4/m m m'
_space_group_IT_number 123
_space_group_name_Hall '-P 4 2'
loop_
_atom_site_label
_atom_site_type_symbol
_atom_site_fract_x
_atom_site_fract_y
_atom_site_fract_z
Tb1 Tb 0.000 0.000 0.248
Si1 Si 0.000 0.000 0.000
Si2 Si 0.000 0.000 0.387
Pt1 Pt 0.000 0.000 0.115
Pt2 Pt 0.000 0.000 0.500

Record 11
# Nb4P2S21, optimized geometry, DFT GGA-PBE
# Formation enthalpy at 0 K, eV per atom: -0.94
data_Nb4P2S21
_cell_length_a 27.086
_cell_length_b 7.799
_cell_length_c 13.194
_cell_angle_alpha 90.00
_cell_angle_beta 102.43
_cell_angle_gamma 90.00
_space_group_name_H-M_alt 'C 1 2 1'
_space_group_IT_number 5
loop_
_space_group_symop_operation_xyz
'x,y,z'
'-x,y,-z'
'x+1/2,y+1/2,z'
'-x+1/2,y+1/2,-z'
loop_
_atom_site_label
_atom_site_type_symbol
_atom_site_fract_x
_atom_site_fract_y
_atom_site_fract_z
Nb1 Nb 0.141 0.000 0.470
Nb2 Nb 0.142 0.875 0.970
Nb3 Nb 0.142 0.876 0.679
Nb4 Nb 0.142 0.997 0.179
P1 P 0.109 0.318 0.308
P2 P 0.109 0.556 0.810
S1 S 0.003 0.438 0.157
S2 S 0.055 0.347 0.779
S3 S 0.055 0.526 0.285
S4 S 0.073 0.058 0.571
S5 S 0.074 0.082 0.293
S6 S 0.074 0.792 0.794
S7 S 0.074 0.812 0.517
S8 S 0.074 0.817 0.072
S9 S 0.075 0.062 0.017
S10 S 0.146 0.542 0.959
S11 S 0.147 0.337 0.458
S12 S 0.149 0.328 0.196
S13 S 0.150 0.541 0.699
S14 S 0.159 0.089 0.833
S15 S 0.159 0.785 0.333
S16 S 0.207 0.886 0.853
S17 S 0.207 0.989 0.354
S18 S 0.209 0.065 0.627
S19 S 0.209 0.809 0.127
S20 S 0.209 0.818 0.581
S21 S 0.210 0.057 0.081

Record 12
# GeTeO3, optimized geometry, DFT GGA-PBE
# Total magnetic moment, μB per formula unit: 0.00
# Formation enthalpy at 0 K, eV per atom: -1.01
data_GeTeO3
_cell_length_a 3.902
_cell_length_b 3.902
_cell_length_c 3.902
_cell_angle_alpha 90.00
_cell_angle_beta 90.00
_cell_angle_gamma 90.00
_space_group_name_H-M_alt 'P m -3 m'
_space_group_IT_number 221
_space_group_name_Hall '-P 4 2 3'
loop_
_atom_site_label
_atom_site_type_symbol
_atom_site_fract_x
_atom_site_fract_y
_atom_site_fract_z
Ge1 Ge 0.000 0.000 0.000
Te1 Te 0.500 0.500 0.500
O1 O 0.000 0.000 0.500

> The lowest formation enthalpy at 0 K belongs to which entry?

ScP3O9

> Among the records above, which one has the highest formation enthalpy at 0 K?

Tb2Si3Pt3

> Which of these has the lowest formation enthalpy at 0 K?

ScP3O9